1.
# VPt8 (r²SCAN, relaxed)
data_VPt8
_chemical_formula_sum 'V2 Pt16'
_symmetry_space_group_name_H-M 'C 1 2/m 1'
_symmetry_Int_Tables_number 12
_cell_length_a 9.190
_cell_length_b 8.331
_cell_length_c 3.890
_cell_angle_alpha 90.00
_cell_angle_beta 114.91
_cell_angle_gamma 90.00
loop_
_symmetry_equiv_pos_as_xyz
'x,y,z'
'-x,-y,-z'
'-x,y,-z'
'x,-y,z'
'x+1/2,y+1/2,z'
'-x+1/2,-y+1/2,-z'
'-x+1/2,y+1/2,-z'
'x+1/2,-y+1/2,z'
loop_
_atom_site_label
_atom_site_fract_x
_atom_site_fract_y
_atom_site_fract_z
V1 0.000 0.000 0.000
Pt1 0.000 0.328 0.000
Pt2 0.161 0.161 0.661
Pt3 0.172 0.500 0.672
# Formation enthalpy at 0 K: -0.30 eV/atom
# VASP energy: -857.47 eV/cell
# M_tot: 0.000 μB/atom

=====

2.
# CaC2N2O2 (r²SCAN, relaxed)
data_CaC2N2O2
_chemical_formula_sum 'Ca18 C36 N36 O36'
_symmetry_space_group_name_H-M 'R 3 c'
_symmetry_Int_Tables_number 161
_symmetry_space_group_name_Hall 'R 3 -2"c'
_cell_length_a 11.5145
_cell_length_b 11.5145
_cell_length_c 12.0452
_cell_angle_alpha 90.00
_cell_angle_beta 90.00
_cell_angle_gamma 120.00
loop_
_atom_site_label
_atom_site_fract_x
_atom_site_fract_y
_atom_site_fract_z
Ca1 0.0258 0.3391 0.0000
C1 0.0170 0.1224 0.5246
C2 0.0442 0.1307 0.7842
N1 0.1268 0.0178 0.0257
N2 0.1354 0.0463 0.2830
O1 0.0380 0.2438 0.5186
O2 0.0747 0.4996 0.4562
# Formation enthalpy at 0 K: -1.35 eV/atom
# VASP energy: -1198.87 eV/cell
# M_tot: 0.000 μB/atom

=====

3.
# Mg2GeO4 (r²SCAN, relaxed)
data_Mg2GeO4
_chemical_formula_sum 'Mg8 Ge4 O16'
_symmetry_space_group_name_H-M 'P n m a'
_symmetry_Int_Tables_number 62
_cell_length_a 10.283
_cell_length_b 6.027
_cell_length_c 4.915
_cell_angle_alpha 90.00
_cell_angle_beta 90.00
_cell_angle_gamma 90.00
loop_
_symmetry_equiv_pos_as_xyz
'x,y,z'
'-x,-y,-z'
'-x+1/2,-y,z+1/2'
'x+1/2,y,-z+1/2'
'x+1/2,-y+1/2,-z+1/2'
'-x+1/2,y+1/2,z+1/2'
'-x,y+1/2,-z'
'x,-y+1/2,z'
loop_
_atom_site_label
_atom_site_fract_x
_atom_site_fract_y
_atom_site_fract_z
Mg1 0.000 0.000 0.000
Mg2 0.224 0.250 0.492
Ge1 0.095 0.750 0.436
O1 0.060 0.250 0.729
O2 0.092 0.750 0.789
O3 0.165 0.521 0.265
# Formation enthalpy at 0 K: -2.56 eV/atom
# VASP energy: -256.21 eV/cell
# Energy above the most stable polymorph in this dataset: 0.020 eV/atom
# M_tot: 0.000 μB/atom

=====

4.
# Rb2NaZn2H5C4O14 (r²SCAN, relaxed)
data_Rb2NaZn2H5C4O14
_chemical_formula_sum 'Rb4 Na2 Zn4 H10 C8 O28'
_symmetry_space_group_name_H-M 'P 1 21/c 1'
_symmetry_Int_Tables_number 14
_cell_length_a 5.198
_cell_length_b 11.211
_cell_length_c 11.667
_cell_angle_alpha 90.00
_cell_angle_beta 114.47
_cell_angle_gamma 90.00
loop_
_symmetry_equiv_pos_as_xyz
'x,y,z'
'-x,-y,-z'
'-x,y+1/2,-z+1/2'
'x,-y+1/2,z+1/2'
loop_
_atom_site_label
_atom_site_fract_x
_atom_site_fract_y
_atom_site_fract_z
Rb1 0.041 0.166 0.075
Na1 0.000 0.000 0.500
Zn1 0.331 0.604 0.795
H1 0.058 0.698 0.181
H2 0.379 0.670 0.224
H3 0.500 0.000 0.000
C1 0.287 0.072 0.818
C2 0.429 0.124 0.435
O1 0.057 0.062 0.833
O2 0.208 0.162 0.444
O3 0.249 0.716 0.250
O4 0.292 0.111 0.715
O5 0.332 0.616 0.966
O6 0.424 0.089 0.328
O7 0.474 0.540 0.591
# Formation enthalpy at 0 K: -1.55 eV/atom
# VASP energy: -466.47 eV/cell
# M_tot: 0.000 μB/atom

=====

5.
# Tl2TeO3 (r²SCAN, relaxed)
data_Tl2TeO3
_chemical_formula_sum 'Tl16 Te8 O24'
_symmetry_space_group_name_H-M 'P b a n'
_symmetry_Int_Tables_number 50
_cell_length_a 11.203
_cell_length_b 16.730
_cell_length_c 5.264
_cell_angle_alpha 90.00
_cell_angle_beta 90.00
_cell_angle_gamma 90.00
loop_
_symmetry_equiv_pos_as_xyz
'x,y,z'
'-x,-y,-z'
'-x+1/2,-y+1/2,z'
'x+1/2,y+1/2,-z'
'x,-y+1/2,-z'
'-x,y+1/2,z'
'-x+1/2,y,-z'
'x+1/2,-y,z'
loop_
_atom_site_label
_atom_site_fract_x
_atom_site_fract_y
_atom_site_fract_z
Tl1 0.120 0.169 0.250
Tl2 0.135 0.004 0.742
Te1 0.112 0.662 0.735
O1 0.050 0.189 0.783
O2 0.099 0.553 0.814
O3 0.105 0.653 0.379
# Formation enthalpy at 0 K: -1.02 eV/atom
# VASP energy: -1246.40 eV/cell
# M_tot: 0.000 μB/atom

=====

6.
# SrSi3Ni (r²SCAN, relaxed)
data_SrSi3Ni
_chemical_formula_sum 'Sr2 Si6 Ni2'
_symmetry_space_group_name_H-M 'I 4 m m'
_symmetry_Int_Tables_number 107
_symmetry_space_group_name_Hall 'I 4 -2'
_cell_length_a 4.172
_cell_length_b 4.172
_cell_length_c 9.782
_cell_angle_alpha 90.00
_cell_angle_beta 90.00
_cell_angle_gamma 90.00
loop_
_atom_site_label
_atom_site_fract_x
_atom_site_fract_y
_atom_site_fract_z
Sr1 0.000 0.000 0.000
Si1 0.000 0.000 0.403
Si2 0.000 0.500 0.251
Ni1 0.000 0.000 0.646
# Formation enthalpy at 0 K: -0.43 eV/atom
# VASP energy: -111.24 eV/cell
# M_tot: 0.000 μB/atom